# 1
The following is a r²SCAN calculation of an optimized crystal structure of O, from Materials Project.

Results
The calculation puts the formation energy from the elements at 12 meV per atom.

abc: 7.346 9.400 4.849
angles: 90.00 121.24 90.00
Space group C2/c (No. 15)
Unique sites:
O: 0.142 0.138 0.105 x8
O: 0.198 0.386 0.634 x8

# 2
The following is a r²SCAN calculation of an optimized crystal structure of O, from Materials Project.

Results
The calculation puts the formation energy from the elements at 281 meV per atom.

abc: 2.4582 2.4582 7.8073
angles: 90.00 90.00 120.00
Space group P6_3/mmc (No. 194)
Unique sites:
O: 0.3333 0.6667 0.1719 x4

# 3
The following is a r²SCAN calculation of an optimized crystal structure of O, from Materials Project.

Results
The calculation puts the formation energy from the elements at 573 meV per atom.

abc: 6.653 6.768 7.450
angles: 90.00 90.00 90.00
Space group Pbca (No. 61)
Unique sites:
O: 0.044 0.049 0.187 x8
O: 0.154 0.185 0.118 x8
O: 0.234 0.635 0.986 x8

# 4
The following is a r²SCAN calculation of an optimized crystal structure of O, from Materials Project.

Results
The calculation puts the formation energy from the elements at 280 meV per atom.

abc: 3.321 3.330 7.636
angles: 90.00 90.00 90.00
Space group Fmmm (No. 69)
Unique sites:
O: 0.000 0.000 0.080 x8

# 5
The following is a r²SCAN calculation of an optimized crystal structure of O, from Materials Project.

Results
The calculation puts the formation energy from the elements at 16 meV per atom.

abc: 7.472 9.256 4.749
angles: 90.00 120.57 90.00
Space group C2/c (No. 15)
Unique sites:
O: 0.141 0.143 0.104 x8
O: 0.204 0.387 0.635 x8

# 6
The following is a r²SCAN calculation of an optimized crystal structure of O, from Materials Project.

Results
The calculation puts the formation energy from the elements at 17 meV per atom.

abc: 4.044 4.044 8.783
angles: 90.00 90.00 90.00
Space group P4_12_12 (No. 92)
Unique sites:
O: 0.056 0.136 0.219 x8

Number 1: distance to the lowest polymorph of the same formula 12 meV/atom, size of the total moment 1.00 μB per formula unit, final energy -0.43809 Ry per atom. Number 2: distance to the lowest polymorph of the same formula 281 meV/atom, size of the total moment 0.00 μB per formula unit, final energy -0.41835 Ry per atom. Number 3: distance to the lowest polymorph of the same formula 573 meV/atom, size of the total moment 0.00 μB per formula unit, final energy -0.39684 Ry per atom. Number 4: distance to the lowest polymorph of the same formula 280 meV/atom, size of the total moment 0.00 μB per formula unit, final energy -0.41839 Ry per atom. Number 5: distance to the lowest polymorph of the same formula 16 meV/atom, size of the total moment 1.00 μB per formula unit, final energy -0.43781 Ry per atom. Number 6: distance to the lowest polymorph of the same formula 17 meV/atom, size of the total moment 1.00 μB per formula unit, final energy -0.43769 Ry per atom.